{
  "formula": "Pr2Te4MoO14",
  "functional": "GGA+U",
  "state": "optimized geometry",
  "lattice_angstrom": [[7.084, 0.000, 0.000], [-0.582, 10.179, 0.000], [-3.062, -0.193, 9.863]],
  "species": ["Te", "Te", "Te", "Te", "Te", "Te", "Te", "Te", "O", "O", "O", "O", "O", "O", "O", "O", "O", "O", "O", "O", "O", "O", "O", "O", "O", "O", "O", "O", "O", "O", "O", "O", "O", "O", "O", "O", "Pr", "Pr", "Pr", "Pr", "Mo", "Mo"],
  "fractional_positions": [[0.742, 0.609, 0.279], [0.057, 0.211, 0.957], [0.075, 0.166, 0.369], [0.638, 0.273, 0.458], [0.362, 0.727, 0.542], [0.258, 0.391, 0.721], [0.925, 0.834, 0.631], [0.943, 0.789, 0.043], [0.694, 0.391, 0.603], [0.287, 0.296, 0.400], [0.415, 0.605, 0.688], [0.025, 0.774, 0.812], [0.707, 0.705, 0.931], [0.612, 0.859, 0.361], [0.306, 0.609, 0.397], [0.121, 0.509, 0.796], [0.376, 0.885, 0.766], [0.594, 0.121, 0.931], [0.293, 0.295, 0.069], [0.879, 0.491, 0.204], [0.713, 0.704, 0.600], [0.869, 0.765, 0.209], [0.501, 0.583, 0.135], [0.131, 0.235, 0.791], [0.746, 0.000, 0.730], [0.071, 0.723, 0.541], [0.388, 0.141, 0.639], [0.103, 0.646, 0.049], [0.499, 0.417, 0.865], [0.897, 0.354, 0.951], [0.624, 0.115, 0.234], [0.585, 0.395, 0.312], [0.929, 0.277, 0.459], [0.254, 0.000, 0.270], [0.975, 0.226, 0.188], [0.406, 0.879, 0.069], [0.644, 0.308, 0.086], [0.356, 0.692, 0.914], [0.220, 0.465, 0.215], [0.780, 0.535, 0.785], [0.477, 0.962, 0.232], [0.523, 0.038, 0.768]],
  "e_tot_ev_per_cell": -272.2,
  "volume_a3_per_atom": 16.934,
  "space_group": "P-1 (2)"
}

{
  "formula": "Mn3OF5",
  "functional": "GGA+U",
  "state": "optimized geometry",
  "lattice_angstrom": [[3.538, -10.177, 0.000], [3.538, 10.177, 0.000], [0.000, 0.000, 3.246]],
  "species": ["F", "F", "F", "F", "F", "F", "F", "F", "F", "F", "Mn", "Mn", "Mn", "Mn", "Mn", "Mn", "O", "O"],
  "fractional_positions": [[0.692, 0.692, 0.000], [0.278, 0.722, 0.500], [0.722, 0.278, 0.500], [0.933, 0.067, 0.500], [0.364, 0.027, 0.000], [0.636, 0.973, 0.000], [0.027, 0.364, 0.000], [0.308, 0.308, 0.000], [0.067, 0.933, 0.500], [0.973, 0.636, 0.000], [0.828, 0.172, 0.500], [0.348, 0.652, 0.000], [0.172, 0.828, 0.500], [0.000, 0.000, 0.000], [0.500, 0.500, 0.500], [0.652, 0.348, 0.000], [0.406, 0.594, 0.500], [0.594, 0.406, 0.500]],
  "polymorph_energy_mev_per_atom": 6,
  "e_tot_ev_per_cell": -117.3,
  "volume_a3_per_atom": 12.986,
  "space_group": "Cmmm (65)"
}